VASP calculation (PBE) on crystalline Sm2FeSi3 at its relaxed geometry.

abc: 4.0164 4.0164 8.3958
angles: 90.00 90.00 120.00
Atoms (fractional coordinates):
Sm (0.0000, 0.0000, 0.2433)
Sm (0.0000, 0.0000, 0.7567)
Fe (0.3333, 0.6667, 0.0000)
Si (0.3333, 0.6667, 0.5000)
Si (0.6667, 0.3333, 0.0000)
Si (0.6667, 0.3333, 0.5000)

Computed properties:
E = -6.20 eV per atom
ρ = 6.24 g/cm³
energy of formation from the pure elements = -10.7 kcal/mol of atoms